Crystalline Sr6Ca4Cu17O29 at its relaxed geometry, computed with PBE.

Unit cell a=11.320 b=11.320 c=8.783 alpha=108.92 beta=108.92 gamma=119.67
Fractional coordinates of all 56 atoms:
Sr: 0.065 0.666 0.738
Sr: 0.126 0.126 0.264
Sr: 0.334 0.935 0.262
Sr: 0.666 0.065 0.738
Sr: 0.874 0.874 0.736
Sr: 0.935 0.334 0.262
Ca: 0.278 0.475 0.749
Ca: 0.475 0.278 0.749
Ca: 0.525 0.722 0.251
Ca: 0.722 0.525 0.251
Cu: 0.000 0.000 0.500
Cu: 0.066 0.266 0.997
Cu: 0.134 0.534 0.997
Cu: 0.144 0.856 0.500
Cu: 0.266 0.066 0.997
Cu: 0.287 0.713 0.500
Cu: 0.337 0.337 0.003
Cu: 0.430 0.570 0.500
Cu: 0.466 0.866 0.003
Cu: 0.534 0.134 0.997
Cu: 0.570 0.430 0.500
Cu: 0.663 0.663 0.997
Cu: 0.713 0.287 0.500
Cu: 0.734 0.934 0.003
Cu: 0.856 0.144 0.500
Cu: 0.866 0.466 0.003
Cu: 0.934 0.734 0.003
O: 0.032 0.633 0.007
O: 0.037 0.185 0.490
O: 0.087 0.657 0.465
O: 0.100 0.900 0.000
O: 0.176 0.176 0.009
O: 0.185 0.037 0.490
O: 0.232 0.432 0.994
O: 0.250 0.530 0.507
O: 0.302 0.698 0.000
O: 0.343 0.913 0.535
O: 0.367 0.968 0.993
O: 0.410 0.410 0.544
O: 0.432 0.232 0.994
O: 0.470 0.750 0.493
O: 0.500 0.500 0.000
O: 0.530 0.250 0.507
O: 0.568 0.768 0.006
O: 0.590 0.590 0.456
O: 0.633 0.032 0.007
O: 0.657 0.087 0.465
O: 0.698 0.302 0.000
O: 0.750 0.470 0.493
O: 0.768 0.568 0.006
O: 0.815 0.963 0.510
O: 0.824 0.824 0.991
O: 0.900 0.100 0.000
O: 0.913 0.343 0.535
O: 0.963 0.815 0.510
O: 0.968 0.367 0.993

For the energy relative to the elements, the calculation gives -99.2 eV/f.u. For the total magnetization, the calculation gives 1.92 Bohr magnetons per cell. As for the space group: C2/m.



Crystalline Sr3CaCu2O6 at its relaxed geometry, computed with PBE.

Unit cell a=6.805 b=6.805 c=6.967 alpha=104.82 beta=104.82 gamma=33.63
Fractional coordinates of all 12 atoms:
Sr: 0.000 0.000 0.000
Sr: 0.001 0.001 0.495
Sr: 0.705 0.705 0.850
Ca: 0.707 0.707 0.350
Cu: 0.351 0.351 0.667
Cu: 0.353 0.353 0.180
O: 0.197 0.197 0.107
O: 0.197 0.197 0.585
O: 0.507 0.507 0.751
O: 0.512 0.512 0.253
O: 0.849 0.849 0.179
O: 0.849 0.849 0.664

For the energy relative to the elements, the calculation gives -29.4 eV/f.u. For the total magnetization, the calculation gives 0.00 Bohr magnetons per cell. As for the space group: Cm.



Crystalline SrCa3Cu2O6 at its relaxed geometry, computed with PBE.

Unit cell a=6.666 b=6.666 c=6.705 alpha=104.56 beta=104.56 gamma=33.72
Fractional coordinates of all 12 atoms:
Sr: 0.000 0.000 0.000
Ca: 0.000 0.000 0.500
Ca: 0.297 0.297 0.151
Ca: 0.297 0.297 0.646
Cu: 0.648 0.648 0.820
Cu: 0.650 0.650 0.329
O: 0.152 0.152 0.332
O: 0.152 0.152 0.820
O: 0.488 0.488 0.254
O: 0.489 0.489 0.734
O: 0.804 0.804 0.903
O: 0.810 0.810 0.404

For the energy relative to the elements, the calculation gives -29.9 eV/f.u. For the total magnetization, the calculation gives 0.00 Bohr magnetons per cell. As for the space group: Cm.



Crystalline Ca2Ta2CuO8 at its relaxed geometry, computed with PBE.

Unit cell a=5.403 b=6.712 c=9.999 alpha=108.73 beta=92.85 gamma=90.63
Fractional coordinates of all 26 atoms:
Ca: 0.244 0.042 0.414
Ca: 0.256 0.628 0.584
Ca: 0.744 0.372 0.416
Ca: 0.756 0.958 0.586
Ta: 0.233 0.476 0.231
Ta: 0.266 0.239 0.770
Ta: 0.734 0.761 0.230
Ta: 0.767 0.524 0.769
Cu: 0.251 0.803 0.000
Cu: 0.749 0.197 0.000
O: 0.024 0.378 0.631
O: 0.036 0.245 0.120
O: 0.065 0.698 0.146
O: 0.168 0.973 0.629
O: 0.332 0.348 0.371
O: 0.440 0.538 0.855
O: 0.456 0.114 0.882
O: 0.476 0.751 0.370
O: 0.524 0.249 0.630
O: 0.544 0.886 0.118
O: 0.560 0.462 0.145
O: 0.668 0.652 0.629
O: 0.832 0.027 0.371
O: 0.935 0.302 0.854
O: 0.964 0.755 0.880
O: 0.976 0.622 0.369

For the energy relative to the elements, the calculation gives -38.6 eV/f.u. For the total magnetization, the calculation gives 2.00 Bohr magnetons per cell. As for the space group: P-1.



Crystalline Ca4Cu5Te3O18 at its relaxed geometry, computed with PBE.

Unit cell a=9.293 b=9.293 c=10.604 alpha=98.44 beta=98.44 gamma=60.08
Fractional coordinates of all 60 atoms:
Ca: 0.155 0.830 0.970
Ca: 0.170 0.845 0.530
Ca: 0.184 0.435 0.108
Ca: 0.435 0.184 0.608
Ca: 0.565 0.816 0.392
Ca: 0.816 0.565 0.892
Ca: 0.830 0.155 0.470
Ca: 0.845 0.170 0.030
Cu: 0.041 0.620 0.436
Cu: 0.154 0.529 0.741
Cu: 0.345 0.655 0.250
Cu: 0.380 0.959 0.064
Cu: 0.471 0.846 0.759
Cu: 0.529 0.154 0.241
Cu: 0.620 0.041 0.936
Cu: 0.655 0.345 0.750
Cu: 0.846 0.471 0.259
Cu: 0.959 0.380 0.564
Te: 0.143 0.177 0.805
Te: 0.177 0.143 0.305
Te: 0.500 0.500 0.000
Te: 0.500 0.500 0.500
Te: 0.823 0.857 0.695
Te: 0.857 0.823 0.195
O: 0.024 0.754 0.811
O: 0.050 0.379 0.391
O: 0.066 0.087 0.911
O: 0.077 0.720 0.300
O: 0.087 0.066 0.411
O: 0.091 0.374 0.914
O: 0.184 0.302 0.679
O: 0.246 0.976 0.689
O: 0.272 0.560 0.540
O: 0.280 0.923 0.200
O: 0.291 0.596 0.080
O: 0.302 0.184 0.179
O: 0.374 0.091 0.414
O: 0.379 0.050 0.891
O: 0.391 0.464 0.833
O: 0.404 0.709 0.420
O: 0.440 0.728 0.960
O: 0.464 0.391 0.333
O: 0.536 0.609 0.667
O: 0.560 0.272 0.040
O: 0.596 0.291 0.580
O: 0.609 0.536 0.167
O: 0.621 0.950 0.109
O: 0.626 0.909 0.586
O: 0.698 0.816 0.821
O: 0.709 0.404 0.920
O: 0.720 0.077 0.800
O: 0.728 0.440 0.460
O: 0.754 0.024 0.311
O: 0.816 0.698 0.321
O: 0.909 0.626 0.086
O: 0.913 0.934 0.589
O: 0.923 0.280 0.700
O: 0.934 0.913 0.089
O: 0.950 0.621 0.609
O: 0.976 0.246 0.189

For the energy relative to the elements, the calculation gives -53.6 eV/f.u. For the total magnetization, the calculation gives 2.00 Bohr magnetons per cell. As for the space group: C2/c.



Crystalline CaTi4Cu3O12 at its relaxed geometry, computed with PBE.

Unit cell a=6.694 b=6.694 c=6.694 alpha=109.47 beta=109.47 gamma=109.47
Fractional coordinates of all 20 atoms:
Ca: 0.000 0.000 0.000
Ti: 0.000 0.000 0.500
Ti: 0.000 0.500 0.000
Ti: 0.500 0.000 0.000
Ti: 0.500 0.500 0.500
Cu: 0.000 0.500 0.500
Cu: 0.500 0.000 0.500
Cu: 0.500 0.500 0.000
O: 0.000 0.247 0.753
O: 0.000 0.753 0.247
O: 0.247 0.000 0.753
O: 0.247 0.247 0.494
O: 0.247 0.494 0.247
O: 0.247 0.753 0.000
O: 0.494 0.247 0.247
O: 0.506 0.753 0.753
O: 0.753 0.000 0.247
O: 0.753 0.247 0.000
O: 0.753 0.506 0.753
O: 0.753 0.753 0.506

For the energy relative to the elements, the calculation gives -46.4 eV/f.u. For the total magnetization, the calculation gives 0.01 Bohr magnetons per cell. As for the space group: Im-3m. Its energy above the most stable polymorph in this dataset is 0.385 eV/atom.